w | CaSnS3 | GGA-PBE | relaxed

Properties
Total moment in μB/cell: 0.00

a = 13.8448 Å, b = 13.8448 Å, c = 13.8448 Å
α = 109.17°, β = 109.17°, γ = 110.08°
Sites, in units of the cell vectors:
Ca1 0.0000 0.0000 0.0000
Ca2 0.1307 0.8807 0.2500
Ca3 0.1324 0.2501 0.3690
Ca4 0.2499 0.1189 0.8823
Ca5 0.2634 0.6324 0.3823
Ca6 0.3807 0.6307 0.7500
Ca7 0.3811 0.7634 0.1310
Ca8 0.5000 0.0000 0.0000
Ca9 0.5000 0.0000 0.5000
Ca10 0.5000 0.5000 0.5000
Ca11 0.6189 0.2366 0.8690
Ca12 0.6193 0.3693 0.2500
Ca13 0.7366 0.3676 0.6177
Ca14 0.7501 0.8811 0.1177
Ca15 0.8676 0.7499 0.6310
Ca16 0.8693 0.1193 0.7500
Sn1 0.0000 0.0000 0.5000
Sn2 0.0000 0.5000 0.0000
Sn3 0.0000 0.5000 0.5000
Sn4 0.1220 0.7394 0.8633
Sn5 0.1250 0.3750 0.7500
Sn6 0.2394 0.8761 0.6174
Sn7 0.2413 0.3780 0.1174
Sn8 0.3750 0.1250 0.2500
Sn9 0.3761 0.2587 0.6367
Sn10 0.5000 0.5000 0.0000
Sn11 0.6239 0.7413 0.3633
Sn12 0.6250 0.8750 0.7500
Sn13 0.7587 0.6220 0.8826
Sn14 0.7606 0.1239 0.3826
Sn15 0.8750 0.6250 0.2500
Sn16 0.8780 0.2606 0.1367
S1 0.0327 0.6253 0.2071
S2 0.0448 0.4210 0.3336
S3 0.0790 0.9126 0.6238
S4 0.0819 0.1744 0.7071
S5 0.0864 0.8962 0.8636
S6 0.0939 0.1837 0.9548
S7 0.1131 0.7068 0.0259
S8 0.1253 0.4181 0.5925
S9 0.1809 0.0872 0.4741
S10 0.1841 0.0922 0.2262
S11 0.2068 0.6809 0.5937
S12 0.2112 0.5448 0.1238
S13 0.2711 0.8609 0.4548
S14 0.2772 0.4136 0.3098
S15 0.3163 0.7711 0.9102
S16 0.3256 0.5327 0.9075
S17 0.3609 0.4061 0.5898
S18 0.3661 0.9579 0.2738
S19 0.3962 0.0326 0.8098
S20 0.4078 0.1339 0.0919
S21 0.4126 0.2888 0.8336
S22 0.4128 0.3869 0.0937
S23 0.4579 0.6841 0.5919
S24 0.4674 0.7772 0.3636
S25 0.5326 0.2228 0.6364
S26 0.5421 0.3159 0.4081
S27 0.5872 0.6131 0.9063
S28 0.5874 0.7112 0.1664
S29 0.5922 0.8661 0.9081
S30 0.6038 0.9674 0.1902
S31 0.6339 0.0421 0.7262
S32 0.6391 0.5939 0.4102
S33 0.6744 0.4673 0.0925
S34 0.6837 0.2289 0.0898
S35 0.7228 0.5864 0.6902
S36 0.7289 0.1391 0.5452
S37 0.7888 0.4552 0.8762
S38 0.7932 0.3191 0.4063
S39 0.8159 0.9078 0.7738
S40 0.8191 0.9128 0.5259
S41 0.8747 0.5819 0.4075
S42 0.8869 0.2932 0.9741
S43 0.9061 0.8163 0.0452
S44 0.9136 0.1038 0.1364
S45 0.9181 0.8256 0.2929
S46 0.9210 0.0874 0.3762
S47 0.9552 0.5790 0.6664
S48 0.9673 0.3747 0.7929

---

x | CaSnS3 | GGA-PBE | relaxed

Properties
Total moment in μB/cell: 0.00

a = 14.5818 Å, b = 14.5818 Å, c = 13.2128 Å
α = 90.00°, β = 90.00°, γ = 90.00°
Sites, in units of the cell vectors:
Ca1 0.0340 0.6601 0.9999
Ca2 0.1234 0.4623 0.2587
Ca3 0.1628 0.4446 0.7943
Ca4 0.2470 0.7321 0.7500
Ca5 0.2679 0.2470 0.0000
Ca6 0.2697 0.2874 0.5145
Ca7 0.2874 0.7303 0.2645
Ca8 0.3399 0.0340 0.2499
Ca9 0.4446 0.8372 0.5443
Ca10 0.4623 0.8766 0.0087
Ca11 0.5377 0.1234 0.5087
Ca12 0.5554 0.1628 0.0443
Ca13 0.6601 0.9660 0.7499
Ca14 0.7126 0.2697 0.7645
Ca15 0.7303 0.7126 0.0145
Ca16 0.7321 0.7530 0.5000
Ca17 0.7530 0.2679 0.2500
Ca18 0.8372 0.5554 0.2943
Ca19 0.8766 0.5377 0.7587
Ca20 0.9660 0.3399 0.4999
Sn1 0.0633 0.6290 0.5068
Sn2 0.0731 0.1241 0.3679
Sn3 0.0923 0.1962 0.7819
Sn4 0.1241 0.9269 0.1179
Sn5 0.1962 0.9077 0.5319
Sn6 0.2703 0.5641 0.0611
Sn7 0.3578 0.5610 0.4987
Sn8 0.3710 0.0633 0.7568
Sn9 0.4359 0.2703 0.3111
Sn10 0.4390 0.3578 0.7487
Sn11 0.5610 0.6422 0.2487
Sn12 0.5641 0.7297 0.8111
Sn13 0.6290 0.9367 0.2568
Sn14 0.6422 0.4390 0.9987
Sn15 0.7297 0.4359 0.5611
Sn16 0.8038 0.0923 0.0319
Sn17 0.8759 0.0731 0.6179
Sn18 0.9077 0.8038 0.2819
Sn19 0.9269 0.8759 0.8679
Sn20 0.9367 0.3710 0.0068
S1 0.0039 0.4944 0.9055
S2 0.0572 0.5724 0.6770
S3 0.0589 0.8752 0.2794
S4 0.0834 0.2807 0.9415
S5 0.0883 0.8609 0.9422
S6 0.1072 0.7818 0.5994
S7 0.1144 0.3022 0.6472
S8 0.1164 0.2828 0.3706
S9 0.1248 0.0589 0.5294
S10 0.1391 0.0883 0.1922
S11 0.1488 0.6381 0.1649
S12 0.2034 0.6111 0.9001
S13 0.2111 0.5960 0.4098
S14 0.2182 0.1072 0.8494
S15 0.2435 0.4092 0.1111
S16 0.2807 0.9166 0.6915
S17 0.2828 0.8836 0.1206
S18 0.3022 0.8856 0.3972
S19 0.3232 0.4424 0.6324
S20 0.3268 0.3857 0.8795
S21 0.3540 0.4098 0.3657
S22 0.3619 0.1488 0.4149
S23 0.3857 0.6732 0.6295
S24 0.3889 0.2034 0.1501
S25 0.4040 0.2111 0.6598
S26 0.4092 0.7565 0.8611
S27 0.4098 0.6460 0.1157
S28 0.4276 0.0572 0.9270
S29 0.4424 0.6768 0.3824
S30 0.4944 0.9961 0.6555
S31 0.5056 0.0039 0.1555
S32 0.5576 0.3232 0.8824
S33 0.5724 0.9428 0.4270
S34 0.5902 0.3540 0.6157
S35 0.5908 0.2435 0.3611
S36 0.5960 0.7889 0.1598
S37 0.6111 0.7966 0.6501
S38 0.6143 0.3268 0.1295
S39 0.6381 0.8512 0.9149
S40 0.6460 0.5902 0.8657
S41 0.6732 0.6143 0.3795
S42 0.6768 0.5576 0.1324
S43 0.6978 0.1144 0.8972
S44 0.7172 0.1164 0.6206
S45 0.7193 0.0834 0.1915
S46 0.7565 0.5908 0.6111
S47 0.7818 0.8928 0.3494
S48 0.7889 0.4040 0.9098
S49 0.7966 0.3889 0.4001
S50 0.8512 0.3619 0.6649
S51 0.8609 0.9117 0.6922
S52 0.8752 0.9411 0.0294
S53 0.8836 0.7172 0.8706
S54 0.8856 0.6978 0.1472
S55 0.8928 0.2182 0.0994
S56 0.9117 0.1391 0.4422
S57 0.9166 0.7193 0.4415
S58 0.9411 0.1248 0.7794
S59 0.9428 0.4276 0.1770
S60 0.9961 0.5056 0.4055

---

So which one wins? Going from most stable to least: w, x.